Computed, not measured: an optimized crystal structure of CeAsRh at the meta-GGA r2SCAN level of DFT.

abc: 4.4088 7.1757 7.6456
angles: 89.99 90.00 90.00
Last column: nearest neighbours and their distance in Å.
Sites, in units of the cell vectors:
Rh (0.7500, 0.5600, 0.7543)  3 As 2.48-2.49, 1 Ce 2.77
Rh (0.2500, 0.4400, 0.2457)  3 As 2.48-2.49, 1 Ce 2.77
As (0.7500, 0.9061, 0.7794)  3 Rh 2.48-2.49
Ce (0.2500, 0.7320, 0.0091)  1 Rh 2.77, 3 As 3.06-3.08
Ce (0.2500, 0.7681, 0.5091)  1 Rh 2.76, 3 As 3.06-3.08
As (0.2500, 0.0939, 0.2206)  3 Rh 2.48-2.49
Ce (0.7500, 0.2680, 0.9909)  1 Rh 2.77, 3 As 3.06-3.08
Ce (0.7500, 0.2319, 0.4909)  1 Rh 2.76, 3 As 3.06-3.08
As (0.7500, 0.5937, 0.2791)  3 Rh 2.48-2.49
Rh (0.2500, 0.0599, 0.7449)  3 As 2.48-2.49, 1 Ce 2.76
As (0.2500, 0.4063, 0.7209)  3 Rh 2.48-2.49
Rh (0.7500, 0.9401, 0.2551)  3 As 2.48-2.49, 1 Ce 2.76

E_tot: -24.49 eV/atom
formation energy from the elements: -1.26 eV/atom

---

Computed, not measured: an optimized crystal structure of CeAsRh at the meta-GGA r2SCAN level of DFT.

abc: 4.2761 4.2761 7.6323
angles: 90.00 90.00 120.00
Last column: nearest neighbours and their distance in Å.
Sites, in units of the cell vectors:
Rh (0.6667, 0.3333, 0.2500)  3 As 2.47
Rh (0.3333, 0.6667, 0.7500)  3 As 2.47
As (0.3333, 0.6667, 0.2500)  3 Rh 2.47
Ce (0.0000, 0.0000, 0.5000)  6 As 3.12, 6 Rh 3.12
As (0.6667, 0.3333, 0.7500)  3 Rh 2.47
Ce (0.0000, 0.0000, 0.0000)  6 Rh 3.12, 6 As 3.12

E_tot: -24.48 eV/atom
formation energy from the elements: -1.25 eV/atom

---

Computed, not measured: an optimized crystal structure of Cs3As2Cl9 at the meta-GGA r2SCAN level of DFT.

abc: 7.4519 7.4519 9.0368
angles: 90.00 90.00 120.00
Last column: nearest neighbours and their distance in Å.
Sites, in units of the cell vectors:
Cs (0.0000, 0.0000, 0.0000)  12 Cl 3.72-3.76
Cl (0.0000, 0.4998, 0.0000)  2 As 2.72
Cl (0.8180, 0.1817, 0.3256)  1 As 2.34
Cl (0.6363, 0.8183, 0.6744)  1 As 2.34
Cl (0.3637, 0.1820, 0.3256)  1 As 2.34
Cl (0.4998, 0.0000, 0.0000)  2 As 2.72
Cl (0.1820, 0.3637, 0.6744)  1 As 2.34
Cs (0.3333, 0.6667, 0.3226)  12 Cl 3.62-3.73
As (0.6667, 0.3333, 0.1838)  3 Cl 2.34
Cl (0.1817, 0.8180, 0.6744)  1 As 2.34
Cl (0.5002, 0.5002, 0.0000)  2 As 2.72
Cs (0.6667, 0.3333, 0.6774)  12 Cl 3.62-3.73
Cl (0.8183, 0.6363, 0.3256)  1 As 2.34
As (0.3333, 0.6667, 0.8162)  3 Cl 2.34

E_tot: -12.88 eV/atom
formation energy from the elements: -1.44 eV/atom

---

Computed, not measured: an optimized crystal structure of AsClF8 at the meta-GGA r2SCAN level of DFT.

abc: 5.6342 5.6342 9.9576
angles: 73.07 73.07 87.50
Last column: nearest neighbours and their distance in Å.
Sites, in units of the cell vectors:
As (0.0000, 0.0000, 0.5000)  6 F 1.73-1.79
F (0.6004, 0.5452, 0.8313)  1 Cl 1.59
F (0.7600, 0.1049, 0.1185)  1 As 1.73
F (0.2139, 0.1729, 0.0314)  1 As 1.73
F (0.1729, 0.2139, 0.5314)  1 As 1.73
Cl (0.3360, 0.6640, 0.2500)  2 F 1.59
F (0.9741, 0.2582, 0.8506)  1 As 1.79
F (0.0259, 0.7418, 0.1494)  1 As 1.79
F (0.8951, 0.2400, 0.3815)  1 As 1.73
F (0.8271, 0.7861, 0.4686)  1 As 1.73
F (0.5452, 0.6004, 0.3313)  1 Cl 1.59
F (0.7418, 0.0259, 0.6494)  1 As 1.79
F (0.7861, 0.8271, 0.9686)  1 As 1.73
F (0.2400, 0.8951, 0.8815)  1 As 1.73
F (0.4548, 0.3996, 0.6687)  1 Cl 1.59
F (0.1049, 0.7600, 0.6185)  1 As 1.73
F (0.3996, 0.4548, 0.1687)  1 Cl 1.59
As (0.0000, 0.0000, 0.0000)  6 F 1.73-1.79
F (0.2582, 0.9741, 0.3506)  1 As 1.79
Cl (0.6640, 0.3360, 0.7500)  2 F 1.59

E_tot: -6.18 eV/atom
formation energy from the elements: -1.60 eV/atom

---

Computed, not measured: an optimized crystal structure of KAs4ClO6 at the meta-GGA r2SCAN level of DFT.

abc: 5.2533 5.2533 8.9458
angles: 90.00 90.00 120.00
Last column: nearest neighbours and their distance in Å.
Sites, in units of the cell vectors:
As (0.3333, 0.6667, 0.2044)  3 O 1.81
O (0.5000, 0.0000, 0.3142)  2 As 1.81
As (0.6667, 0.3333, 0.2044)  3 O 1.81
Cl (0.0000, 0.0000, 0.0000)  12 As 3.54, 12 O 3.85
K (0.0000, 0.0000, 0.5000)  12 O 3.11
O (0.0000, 0.5000, 0.6858)  2 As 1.81
O (0.5000, 0.0000, 0.6858)  2 As 1.81
O (0.5000, 0.5000, 0.6858)  2 As 1.81
As (0.6667, 0.3333, 0.7956)  3 O 1.81
O (0.5000, 0.5000, 0.3142)  2 As 1.81
As (0.3333, 0.6667, 0.7956)  3 O 1.81
O (0.0000, 0.5000, 0.3142)  2 As 1.81

E_tot: -10.34 eV/atom
formation energy from the elements: -1.44 eV/atom

---

Computed, not measured: an optimized crystal structure of SbAs2Cl13 at the meta-GGA r2SCAN level of DFT.

abc: 9.5659 9.5659 11.8071
angles: 90.00 90.00 115.05
Last column: nearest neighbours and their distance in Å.
Sites, in units of the cell vectors:
Cl (0.7554, 0.9151, 0.6025)  1 As 2.08
Cl (0.6252, 0.6992, 0.8709)  1 As 2.19
Cl (0.4462, 0.5538, 0.1626)  1 As 2.22
Cl (0.5538, 0.4462, 0.6626)  1 As 2.22
Cl (0.0870, 0.9130, 0.3902)  1 Sb 2.39
Cl (0.3748, 0.3008, 0.3709)  1 As 2.19
Cl (0.1341, 0.8659, 0.8632)  1 As 2.08
Cl (0.2446, 0.0849, 0.1025)  1 As 2.08
Cl (0.3194, 0.0105, 0.6199)  1 Sb 2.39
Cl (0.2614, 0.7386, 0.0895)  1 As 2.07
As (0.5496, 0.4504, 0.8503)  3 Cl 2.19-2.22
Sb (0.2113, 0.7887, 0.5006)  6 Cl 2.39-2.41
Cl (0.3008, 0.3748, 0.8709)  1 As 2.19
Cl (0.8986, 0.4330, 0.8787)  1 Sb 2.41
Cl (0.3362, 0.6638, 0.6090)  1 Sb 2.39
Cl (0.7386, 0.2614, 0.5895)  1 As 2.07
Cl (0.0105, 0.3194, 0.1199)  1 Sb 2.39
As (0.8617, 0.1383, 0.5392)  4 Cl 2.07-2.08
Cl (0.6806, 0.9895, 0.1199)  1 Sb 2.39
Cl (0.6992, 0.6252, 0.3709)  1 As 2.19
Cl (0.9130, 0.0870, 0.8902)  1 Sb 2.39
As (0.1383, 0.8617, 0.0392)  4 Cl 2.07-2.08
Cl (0.9895, 0.6806, 0.6199)  1 Sb 2.39
Cl (0.4330, 0.8986, 0.3787)  1 Sb 2.41
Cl (0.0849, 0.2446, 0.6025)  1 As 2.08
Cl (0.9151, 0.7554, 0.1025)  1 As 2.08
Cl (0.6638, 0.3362, 0.1090)  1 Sb 2.39
Cl (0.5670, 0.1014, 0.8787)  1 Sb 2.41
Cl (0.8659, 0.1341, 0.3632)  1 As 2.08
Cl (0.1014, 0.5670, 0.3787)  1 Sb 2.41
As (0.4504, 0.5496, 0.3503)  3 Cl 2.19-2.22
Sb (0.7887, 0.2113, 0.0006)  6 Cl 2.39-2.41

E_tot: -9.12 eV/atom
formation energy from the elements: -0.68 eV/atom

---

Computed, not measured: an optimized crystal structure of CoAs at the meta-GGA r2SCAN level of DFT.

abc: 3.5348 4.9774 6.1068
angles: 90.00 90.00 90.00
Last column: nearest neighbours and their distance in Å.
Sites, in units of the cell vectors:
As (0.2500, 0.2500, 0.5838)  6 Co 2.39
As (0.7500, 0.2500, 0.0838)  6 Co 2.39
Co (0.7500, 0.0000, 0.7500)  6 As 2.39, 2 Co 2.49
Co (0.2500, 0.0000, 0.2500)  6 As 2.39, 2 Co 2.49
Co (0.7500, 0.5000, 0.7500)  6 As 2.39, 2 Co 2.49
Co (0.2500, 0.5000, 0.2500)  6 As 2.39, 2 Co 2.49
As (0.7500, 0.7500, 0.4162)  6 Co 2.39
As (0.2500, 0.7500, 0.9162)  6 Co 2.39

E_tot: -14.15 eV/atom
formation energy from the elements: -0.18 eV/atom

---

Computed, not measured: an optimized crystal structure of CoAs at the meta-GGA r2SCAN level of DFT.

abc: 3.4563 5.2190 5.8528
angles: 90.00 90.00 90.00
Last column: nearest neighbours and their distance in Å.
Sites, in units of the cell vectors:
Co (0.2608, 0.9987, 0.2047)  6 As 2.30-2.47
Co (0.7608, 0.0013, 0.7953)  6 As 2.30-2.47
As (0.7608, 0.7969, 0.4140)  6 Co 2.30-2.47
As (0.2608, 0.2031, 0.5860)  6 Co 2.30-2.47
Co (0.2608, 0.4987, 0.2953)  6 As 2.30-2.47
As (0.2608, 0.7031, 0.9140)  6 Co 2.30-2.47
Co (0.7608, 0.5013, 0.7047)  6 As 2.30-2.47
As (0.7608, 0.2969, 0.0860)  6 Co 2.30-2.47

E_tot: -14.18 eV/atom
formation energy from the elements: -0.21 eV/atom

---

Computed, not measured: an optimized crystal structure of EuCo2As2 at the meta-GGA r2SCAN level of DFT.

abc: 5.9350 5.9350 5.9350
angles: 140.37 140.37 57.29
Last column: nearest neighbours and their distance in Å.
Sites, in units of the cell vectors:
As (0.6399, 0.6399, 0.0000)  4 Co 2.32
As (0.3601, 0.3601, 0.0000)  4 Co 2.32
Co (0.2500, 0.7500, 0.5000)  4 As 2.32
Co (0.7500, 0.2500, 0.5000)  4 As 2.32
Eu (0.0000, 0.0000, 0.0000)  8 As 3.20, 8 Co 3.29

E_tot: -19.56 eV/atom
formation energy from the elements: -0.68 eV/atom

---

Computed, not measured: an optimized crystal structure of CoAs4F18 at the meta-GGA r2SCAN level of DFT.

abc: 12.3668 7.1548 9.8902
angles: 46.55 90.00 90.00
Last column: nearest neighbours and their distance in Å.
Sites, in units of the cell vectors:
As (0.0000, 0.5000, 0.5000)  6 F 1.72-1.80
F (0.3735, 0.4933, 0.0760)  1 As 1.72
F (0.0483, 0.7826, 0.7868)  1 As 1.74
F (0.7470, 0.9544, 0.3526)  1 As 1.72
F (0.7530, 0.9544, 0.8526)  1 As 1.72
F (0.6242, 0.5551, 0.4011)  1 As 1.71
F (0.4533, 0.3259, 0.9499)  1 As 1.73
F (0.0354, 0.7955, 0.2694)  1 As 1.80
As (0.7890, 0.0846, 0.4392)  3 F 1.72-1.83
Co (0.0000, 0.0000, 0.0000)  6 F 2.02-2.03
F (0.2470, 0.0456, 0.1474)  1 As 1.72
As (0.7110, 0.0846, 0.9392)  3 F 1.72-1.83
F (0.6564, 0.0265, 0.5451)  1 As 1.83, 1 Co 2.02
F (0.9590, 0.6740, 0.0613)  1 As 1.79
F (0.8735, 0.5067, 0.4240)  1 As 1.72
F (0.6265, 0.5067, 0.9240)  1 As 1.72
As (0.5000, 0.5000, 0.5000)  6 F 1.71-1.79
F (0.7468, 0.3944, 0.7420)  1 As 1.72
F (0.1564, 0.9735, 0.9549)  1 As 1.83, 1 Co 2.02
F (0.3436, 0.9735, 0.4549)  1 As 1.83, 1 Co 2.02
F (0.8758, 0.5551, 0.9011)  1 As 1.71
F (0.9533, 0.6741, 0.5501)  1 As 1.73
F (0.9646, 0.2045, 0.7306)  1 As 1.80
F (0.4517, 0.7826, 0.2868)  1 As 1.74
F (0.1265, 0.4933, 0.5760)  1 As 1.72
F (0.3758, 0.4449, 0.5989)  1 As 1.71
F (0.5410, 0.6740, 0.5613)  1 As 1.79
F (0.2530, 0.0456, 0.6474)  1 As 1.72
F (0.5354, 0.2045, 0.2306)  1 As 1.80
As (0.5000, 0.5000, 0.0000)  6 F 1.72-1.80
As (0.2110, 0.9154, 0.5608)  3 F 1.72-1.83
F (0.5483, 0.2174, 0.7132)  1 As 1.74
F (0.0410, 0.3260, 0.9387)  1 As 1.79
F (0.4646, 0.7955, 0.7694)  1 As 1.80
As (0.2890, 0.9154, 0.0608)  3 F 1.72-1.83
F (0.2468, 0.6056, 0.7580)  1 As 1.72
F (0.9517, 0.2174, 0.2132)  1 As 1.74
F (0.1242, 0.4449, 0.0989)  1 As 1.71
F (0.4590, 0.3260, 0.4387)  1 As 1.79
F (0.0467, 0.3259, 0.4499)  1 As 1.73
F (0.2532, 0.6056, 0.2580)  1 As 1.72
F (0.7532, 0.3944, 0.2420)  1 As 1.72
Co (0.5000, 0.0000, 0.5000)  6 F 2.02-2.03
F (0.5467, 0.6741, 0.0501)  1 As 1.73
As (0.0000, 0.5000, 0.0000)  6 F 1.71-1.79
F (0.8436, 0.0265, 0.0451)  1 As 1.83, 1 Co 2.02

E_tot: -7.81 eV/atom
formation energy from the elements: -2.23 eV/atom

---

Copy entry 7 word for word.
Computed, not measured: an optimized crystal structure of CoAs at the meta-GGA r2SCAN level of DFT.

abc: 3.5348 4.9774 6.1068
angles: 90.00 90.00 90.00
Last column: nearest neighbours and their distance in Å.
Sites, in units of the cell vectors:
As (0.2500, 0.2500, 0.5838)  6 Co 2.39
As (0.7500, 0.2500, 0.0838)  6 Co 2.39
Co (0.7500, 0.0000, 0.7500)  6 As 2.39, 2 Co 2.49
Co (0.2500, 0.0000, 0.2500)  6 As 2.39, 2 Co 2.49
Co (0.7500, 0.5000, 0.7500)  6 As 2.39, 2 Co 2.49
Co (0.2500, 0.5000, 0.2500)  6 As 2.39, 2 Co 2.49
As (0.7500, 0.7500, 0.4162)  6 Co 2.39
As (0.2500, 0.7500, 0.9162)  6 Co 2.39

E_tot: -14.15 eV/atom
formation energy from the elements: -0.18 eV/atom

---

- The highest formation energy from the elements belongs to which entry?
  number 7

---

- Which formula does entry 4 have?
  AsClF8

---

- Look up the E_tot of the fourth one.
  -6.18 eV/atom